No. 1
A relaxed structure of Ta3Cu2S6, computed with r²SCAN.

Lattice parameters (Å, degrees): 8.880 8.880 13.007 90.00 90.00 158.18
Element x y z (fractional)
Ta: 0.056 0.944 0.500
Ta: 0.278 0.722 0.000
Ta: 0.390 0.610 0.500
Ta: 0.610 0.390 0.000
Ta: 0.722 0.278 0.500
Ta: 0.944 0.056 0.000
Cu: 0.054 0.946 0.287
Cu: 0.280 0.720 0.214
Cu: 0.720 0.280 0.714
Cu: 0.946 0.054 0.787
S: 0.055 0.945 0.118
S: 0.057 0.943 0.880
S: 0.278 0.722 0.383
S: 0.281 0.719 0.620
S: 0.386 0.614 0.878
S: 0.391 0.609 0.120
S: 0.609 0.391 0.620
S: 0.614 0.386 0.378
S: 0.719 0.281 0.120
S: 0.722 0.278 0.883
S: 0.943 0.057 0.380
S: 0.945 0.055 0.618

Values from the calculation:
The energy relative to the elements comes out at -1.023 eV/atom. Its crystal system is orthorhombic.



No. 2
A relaxed structure of Ta8Cu3S24, computed with r²SCAN.

Lattice parameters (Å, degrees): 9.624 3.427 21.665 90.00 90.51 90.00
Element x y z (fractional)
Ta: 0.000 0.000 0.000
Ta: 0.105 0.500 0.368
Ta: 0.221 0.500 0.142
Ta: 0.382 0.000 0.642
Ta: 0.499 0.000 0.868
Ta: 0.604 0.500 0.497
Ta: 0.713 0.500 0.725
Ta: 0.891 0.000 0.227
Cu: 0.230 0.000 0.454
Cu: 0.373 0.500 0.954
Cu: 0.873 0.500 0.914
S: 0.023 0.000 0.895
S: 0.034 0.000 0.124
S: 0.078 0.500 0.242
S: 0.078 0.500 0.472
S: 0.189 0.500 0.020
S: 0.199 0.500 0.612
S: 0.245 0.500 0.704
S: 0.279 0.000 0.351
S: 0.323 0.500 0.851
S: 0.358 0.000 0.204
S: 0.403 0.000 0.112
S: 0.413 0.000 0.521
S: 0.525 0.000 0.973
S: 0.529 0.000 0.744
S: 0.567 0.500 0.626
S: 0.583 0.500 0.398
S: 0.687 0.500 0.848
S: 0.710 0.500 0.257
S: 0.752 0.500 0.165
S: 0.769 0.000 0.519
S: 0.825 0.500 0.017
S: 0.847 0.000 0.663
S: 0.896 0.000 0.755
S: 0.921 0.000 0.346

Values from the calculation:
The energy relative to the elements comes out at -0.896 eV/atom. Its crystal system is monoclinic.



No. 3
A relaxed structure of Ta14Cu3S24, computed with r²SCAN.

Lattice parameters (Å, degrees): 6.668 8.801 12.974 92.28 98.01 101.34
Element x y z (fractional)
Ta: 0.000 0.000 0.000
Ta: 0.026 0.608 0.512
Ta: 0.158 0.672 0.005
Ta: 0.197 0.277 0.508
Ta: 0.286 0.325 0.758
Ta: 0.328 0.335 0.007
Ta: 0.369 0.948 0.514
Ta: 0.489 0.994 0.001
Ta: 0.530 0.609 0.509
Ta: 0.576 0.619 0.758
Ta: 0.663 0.665 0.008
Ta: 0.704 0.273 0.510
Ta: 0.838 0.335 0.003
Ta: 0.864 0.945 0.515
Cu: 0.226 0.691 0.221
Cu: 0.634 0.257 0.293
Cu: 0.806 0.918 0.295
S: 0.014 0.401 0.634
S: 0.022 0.212 0.877
S: 0.088 0.233 0.125
S: 0.113 0.043 0.390
S: 0.179 0.875 0.879
S: 0.182 0.073 0.637
S: 0.255 0.910 0.127
S: 0.272 0.711 0.392
S: 0.339 0.549 0.883
S: 0.342 0.732 0.633
S: 0.424 0.567 0.129
S: 0.436 0.377 0.387
S: 0.519 0.212 0.883
S: 0.522 0.395 0.632
S: 0.589 0.232 0.122
S: 0.601 0.037 0.387
S: 0.679 0.870 0.879
S: 0.682 0.069 0.635
S: 0.756 0.904 0.123
S: 0.772 0.704 0.390
S: 0.840 0.731 0.637
S: 0.847 0.543 0.882
S: 0.915 0.564 0.129
S: 0.947 0.379 0.387

Values from the calculation:
The energy relative to the elements comes out at -1.139 eV/atom. Its crystal system is triclinic.



No. 4
A relaxed structure of TbCu3S3, computed with r²SCAN.

Lattice parameters (Å, degrees): 7.439 7.439 7.439 53.18 53.18 53.18
Element x y z (fractional)
Tb: 0.167 0.167 0.167
Tb: 0.833 0.833 0.833
Cu: 0.036 0.718 0.376
Cu: 0.282 0.624 0.964
Cu: 0.376 0.036 0.718
Cu: 0.624 0.964 0.282
Cu: 0.718 0.376 0.036
Cu: 0.964 0.282 0.624
S: 0.083 0.416 0.747
S: 0.253 0.917 0.584
S: 0.416 0.747 0.083
S: 0.584 0.253 0.917
S: 0.747 0.083 0.416
S: 0.917 0.584 0.253

Values from the calculation:
The energy relative to the elements comes out at -1.010 eV/atom. Its crystal system is trigonal.



For each record above, in turn, the calculated E_tot values are -20.630; -18.441; -23.228; -13.563 eV/atom.